Crystalline Na3NiO2 at its relaxed geometry. Source: Materials Project, functional PBE with a Hubbard U.

Results
The space-group type is Ibam (72). The value obtained for the final energy is -3.771 eV per atom. The calculation puts the calculated formation energy at -1150 meV per atom. Its crystal system is orthorhombic. For the MP2020-corrected energy, the calculation gives -0.1626 Ha/atom.

Unit cell a=6.6308 b=6.6308 c=6.6308 alpha=132.76 beta=75.03 gamma=125.40
Element x y z (fractional)
Na: 0.0124 0.7500 0.2624
Na: 0.2500 0.2500 0.0000
Na: 0.4876 0.7500 0.7376
Na: 0.5124 0.2500 0.2624
Na: 0.7500 0.7500 0.0000
Na: 0.9876 0.2500 0.7376
Ni: 0.0000 0.5000 0.5000
Ni: 0.5000 0.0000 0.5000
O: 0.1253 0.2489 0.3743
O: 0.3747 0.7489 0.1236
O: 0.6253 0.2511 0.8764
O: 0.8747 0.7511 0.6258



Crystalline MgFe6O6F6 at its relaxed geometry. Source: Materials Project, functional PBE with a Hubbard U.

Results
The space-group type is P1 (1). The value obtained for the final energy is -5.923 eV per atom. The calculation puts the calculated formation energy at -2072 meV per atom. The energy above the most stable polymorph in this dataset is 1.37 eV/f.u. Its crystal system is triclinic. For the MP2020-corrected energy, the calculation gives -0.2572 Ha/atom.

Unit cell a=5.0813 b=5.7165 c=7.7986 alpha=83.16 beta=88.05 gamma=86.39
Element x y z (fractional)
Mg: 0.0000 0.0000 0.0000
Fe: 0.0013 0.0064 0.5067
Fe: 0.0474 0.3869 0.1734
Fe: 0.4678 0.1245 0.7868
Fe: 0.4868 0.4985 0.5009
Fe: 0.5145 0.8706 0.2110
Fe: 0.9293 0.6138 0.8319
O: 0.1311 0.3330 0.9356
O: 0.1595 0.0441 0.2465
O: 0.2792 0.1905 0.5709
O: 0.6867 0.8214 0.4188
O: 0.8435 0.6744 0.0772
O: 0.8480 0.9496 0.7595
F: 0.1582 0.6739 0.6037
F: 0.3404 0.5491 0.2504
F: 0.3434 0.8377 0.9550
F: 0.6472 0.4574 0.7465
F: 0.6589 0.1512 0.0725
F: 0.8166 0.3233 0.3931



Crystalline Sr2Y2Fe2O7 at its relaxed geometry. Source: Materials Project, functional PBE with a Hubbard U.

Results
The space-group type is Ima2 (46). The value obtained for the final energy is -7.342 eV per atom. The calculation puts the calculated formation energy at -2837 meV per atom. Its crystal system is orthorhombic. For the MP2020-corrected energy, the calculation gives -0.2962 Ha/atom.

Unit cell a=12.6340 b=12.6340 c=12.6340 alpha=37.43 beta=153.39 gamma=154.16
Element x y z (fractional)
Sr: 0.0292 0.1437 0.1729
Sr: 0.0292 0.3563 0.3854
Sr: 0.9708 0.6437 0.6146
Sr: 0.9708 0.8563 0.8271
Y: 0.0023 0.0023 0.0000
Y: 0.0023 0.5023 0.5000
Y: 0.4198 0.7226 0.1972
Y: 0.5254 0.2226 0.8028
Fe: 0.5015 0.5842 0.0691
Fe: 0.5015 0.9324 0.4173
Fe: 0.5151 0.0842 0.5827
Fe: 0.5151 0.4324 0.9309
O: 0.0033 0.3682 0.7662
O: 0.0033 0.7372 0.1351
O: 0.0343 0.1734 0.7402
O: 0.0343 0.7941 0.3609
O: 0.1745 0.8348 0.8397
O: 0.4332 0.2941 0.2598
O: 0.4332 0.6734 0.6391
O: 0.5024 0.2269 0.6097
O: 0.5024 0.3927 0.7754
O: 0.6020 0.2372 0.2338
O: 0.6020 0.8682 0.8649
O: 0.6173 0.7269 0.2246
O: 0.6173 0.8927 0.3903
O: 0.9951 0.3348 0.1603



Crystalline V5O12 at its relaxed geometry. Source: Materials Project, functional PBE with a Hubbard U.

Results
The space-group type is P1 (1). The value obtained for the final energy is -7.432 eV per atom. The calculation puts the calculated formation energy at -2252 meV per atom. The energy above the most stable polymorph in this dataset is 1.16 eV/f.u. Its crystal system is triclinic. For the MP2020-corrected energy, the calculation gives -0.3093 Ha/atom.

Unit cell a=4.9654 b=5.3289 c=7.4963 alpha=83.28 beta=89.91 gamma=89.27
Element x y z (fractional)
V: 0.0000 0.0000 0.0000
V: 0.0182 0.5801 0.2935
V: 0.0391 0.9835 0.5342
V: 0.4858 0.4777 0.9993
V: 0.5321 0.4744 0.5312
O: 0.1133 0.9159 0.2460
O: 0.2001 0.2520 0.9498
O: 0.2066 0.6423 0.5357
O: 0.3286 0.7560 0.9430
O: 0.3304 0.1382 0.5541
O: 0.3374 0.4456 0.2526
O: 0.6197 0.4570 0.7464
O: 0.7050 0.1373 0.0463
O: 0.7266 0.7402 0.4387
O: 0.8375 0.6101 0.0905
O: 0.8457 0.2850 0.4299
O: 0.9122 0.9472 0.7475



Among the records above, which one has the highest calculated formation energy?
Na3NiO2